## LiNiPO4 (PBE+U)

Data for LiNiPO4 after structural relaxation.

Results
* energy above the lowest structure with this stoichiometry: 83 meV per atom
* E (MP2020): -6.98 eV/atom
* energy: -6.23 eV per atom
* crystal system: orthorhombic

Lattice parameters (Å, degrees): 5.105 7.971 8.275 90.00 90.00 89.97
Fractional coordinates of all 28 atoms:
Li1 0.344 0.530 0.196
Li2 0.344 0.030 0.304
Li3 0.845 0.970 0.696
Li4 0.845 0.470 0.804
Ni1 0.465 0.663 0.554
Ni2 0.465 0.163 0.946
Ni3 0.965 0.837 0.054
Ni4 0.965 0.337 0.446
P1 0.004 0.250 0.073
P2 0.005 0.750 0.427
P3 0.504 0.250 0.573
P4 0.504 0.750 0.927
O1 0.251 0.361 0.047
O2 0.251 0.861 0.453
O3 0.751 0.140 0.547
O4 0.751 0.640 0.953
O5 0.325 0.741 0.078
O6 0.325 0.241 0.422
O7 0.825 0.759 0.578
O8 0.825 0.259 0.922
O9 0.137 0.068 0.083
O10 0.137 0.568 0.417
O11 0.637 0.432 0.583
O12 0.637 0.932 0.917
O13 0.842 0.291 0.223
O14 0.842 0.791 0.277
O15 0.343 0.208 0.723
O16 0.343 0.708 0.777